Entry 1:
VASP calculation (PBE) on Te3Au after structural relaxation.

## Properties
- Formation enthalpy at 0 K: 0.014 eV per atom
- Space-group type: P4/mmm

The structure in POSCAR format:
```
Te3Au
1.0
-1.1397 -0.1424 -2.9135
-1.3371 -2.7545 0.6577
-10.5004 6.0077 3.8138
Te Au
3 1
Cartesian
-5.2502 3.0039 1.9069 Te
-2.1881 1.2519 0.7947 Te
-8.3123 4.7558 3.0191 Te
0.0000 0.0000 0.0000 Au
```



Entry 2:
VASP calculation (PBE) on ThAu3 after structural relaxation.

## Properties
- Formation enthalpy at 0 K: -0.632 eV per atom
- Space-group type: P6_3/mmc

The structure in POSCAR format:
```
ThAu3
1.0
3.2672 -5.6589 0.0000
3.2672 5.6589 0.0000
0.0000 0.0000 4.8086
Au Th
6 2
Cartesian
1.5357 -0.8866 3.6064 Au
3.2672 -3.8857 3.6064 Au
4.9987 -0.8866 3.6064 Au
3.2672 3.8857 1.2021 Au
4.9987 0.8866 1.2021 Au
1.5357 0.8866 1.2021 Au
3.2672 -1.8863 1.2021 Th
3.2672 1.8863 3.6064 Th
```



Entry 3:
VASP calculation (PBE) on Th3Au4 after structural relaxation.

## Properties
- Formation enthalpy at 0 K: -0.668 eV per atom
- Space-group type: R-3

The structure in POSCAR format:
```
Th3Au4
1.0
4.5292 -6.9589 0.0000
4.5292 6.9589 0.0000
-6.1629 0.0000 5.5640
Au Th
8 6
Cartesian
-0.2700 -2.3165 5.1886 Au
1.4393 -3.4399 1.2736 Au
1.4562 3.4399 4.2904 Au
5.0153 -1.1235 2.4382 Au
3.1654 2.3165 0.3754 Au
1.4477 0.0000 2.7820 Au
-2.1199 1.1235 3.1258 Au
0.0000 0.0000 0.0000 Au
2.6933 -2.6300 3.9872 Th
-1.0883 -1.7901 2.2484 Th
2.9525 -0.8399 0.1456 Th
3.9838 1.7901 3.3156 Th
-0.0571 0.8399 5.4184 Th
0.2021 2.6300 1.5768 Th
```



Entry 4:
VASP calculation (PBE) on Th2Au after structural relaxation.

## Properties
- Formation enthalpy at 0 K: -0.421 eV per atom
- Space-group type: I4/mcm

The structure in POSCAR format:
```
Th2Au
1.0
1.7436 -3.2555 -4.8082
5.0858 -3.3389 0.2826
-1.9279 -5.7424 -0.6334
Th Au
4 2
Cartesian
2.4413 -9.0913 -4.4262 Th
3.7772 -6.7070 -1.7338 Th
1.1243 -5.6298 -3.4251 Th
2.4602 -3.2455 -0.7327 Th
1.3077 -2.4416 -3.6061 Au
0.4359 -0.8139 -1.2020 Au
```



- Which of these has the highest formation enthalpy at 0 K?
  Te3Au



- The highest formation enthalpy at 0 K belongs to which entry?
  Te3Au



Copy entry 4 word for word.
VASP calculation (PBE) on Th2Au after structural relaxation.

## Properties
- Formation enthalpy at 0 K: -0.421 eV per atom
- Space-group type: I4/mcm

The structure in POSCAR format:
```
Th2Au
1.0
1.7436 -3.2555 -4.8082
5.0858 -3.3389 0.2826
-1.9279 -5.7424 -0.6334
Th Au
4 2
Cartesian
2.4413 -9.0913 -4.4262 Th
3.7772 -6.7070 -1.7338 Th
1.1243 -5.6298 -3.4251 Th
2.4602 -3.2455 -0.7327 Th
1.3077 -2.4416 -3.6061 Au
0.4359 -0.8139 -1.2020 Au
```